A relaxed CaFeF5 crystal. Source: the Materials Project, functional PBE+U.

- Volume: 421.2 Å³/cell
- Total energy after the MP2020 corrections: -6.192 eV/atom
- E_form: -23.294 eV/f.u.

Unit cell a=9.139 b=6.574 c=7.762 alpha=90.00 beta=115.41 gamma=90.00
Space group C2/c (No. 15)
Inequivalent atoms, fractional coordinates:
Ca  0.000  0.045  0.250
Fe  0.000  0.500  0.000
F  0.000  0.413  0.250
F  0.012  0.206  0.968
F  0.231  0.481  0.621



A relaxed CaFe2F10 crystal. Source: the Materials Project, functional PBE+U.

- Volume: 401.8 Å³/cell
- Total energy after the MP2020 corrections: -5.553 eV/atom
- E_form: -34.100 eV/f.u.

Unit cell a=5.520 b=9.997 c=7.762 alpha=90.00 beta=110.28 gamma=90.00
Space group Pc (No. 7)
Inequivalent atoms, fractional coordinates:
Ca  0.000  0.233  0.000
Fe  0.412  0.499  0.852
Fe  0.643  0.006  0.654
F  0.149  0.380  0.825
F  0.177  0.366  0.250
F  0.373  0.111  0.119
F  0.402  0.458  0.598
F  0.421  0.136  0.563
F  0.640  0.358  0.941
F  0.673  0.391  0.386
F  0.675  0.052  0.915
F  0.873  0.129  0.239
F  0.911  0.126  0.706



A relaxed CaFeF5 crystal. Source: the Materials Project, functional PBE+U.

- Volume: 415.7 Å³/cell
- Total energy after the MP2020 corrections: -6.192 eV/atom
- E_form: -23.292 eV/f.u.

Unit cell a=5.587 b=10.242 c=7.729 alpha=90.00 beta=109.95 gamma=90.00
Space group P2_1/c (No. 14)
Inequivalent atoms, fractional coordinates:
Ca  0.029  0.019  0.255
Fe  0.394  0.246  0.600
F  0.113  0.118  0.557
F  0.144  0.112  0.005
F  0.329  0.637  0.359
F  0.345  0.203  0.337
F  0.379  0.604  0.811



A relaxed CaFeF4 crystal. Source: the Materials Project, functional PBE+U.

- Volume: 326.6 Å³/cell
- Size of the total moment: 4.0 μB per formula unit
- Total energy after the MP2020 corrections: -6.373 eV/atom
- E_form: -20.102 eV/f.u.

Unit cell a=5.503 b=5.503 c=10.782 alpha=90.00 beta=90.00 gamma=90.00
Space group I4/mcm (No. 140)
Inequivalent atoms, fractional coordinates:
Ca  0.000  0.000  0.250
Fe  0.000  0.500  0.000
F  0.187  0.313  0.129